GGA-PBE Li3Cu2S3O12, relaxed; space group = P2_1/c; total magnetization = 0.050 μB per atom; energy with MP2020 corrections = -491.3 eV per cell; energy = -5.73 eV/atom; energy above the most stable polymorph in this dataset = 0 meV/atom
1.0
8.677 0.000 0.000
0.000 8.864 0.000
-8.026 0.000 12.374
Li Cu S O
12 8 12 48
Cartesian
-2.556 1.985 4.041 Li
-6.569 2.448 10.228 Li
-4.176 4.565 10.471 Li
-0.163 8.732 4.283 Li
0.945 5.084 3.836 Li
-3.068 8.212 10.023 Li
3.719 0.652 2.351 Li
-0.294 3.780 8.538 Li
0.814 0.132 8.091 Li
4.827 4.300 1.904 Li
7.220 6.417 2.146 Li
3.207 6.880 8.333 Li
-1.949 4.819 4.926 Cu
-5.963 8.478 11.114 Cu
2.056 4.777 1.064 Cu
-1.957 8.519 7.251 Cu
2.608 0.345 5.123 Cu
-1.405 4.087 11.310 Cu
6.614 0.387 1.261 Cu
2.600 4.046 7.448 Cu
-4.951 0.929 8.170 S
-0.938 3.503 1.983 S
-2.904 5.587 8.027 S
1.109 7.710 1.840 S
-0.245 2.182 6.122 S
-4.258 2.250 12.309 S
4.909 6.615 0.065 S
0.896 6.682 6.252 S
-0.458 1.154 10.535 S
3.555 3.278 4.347 S
1.589 5.361 10.391 S
5.602 7.936 4.204 S
-1.346 2.164 2.490 O
-5.360 2.268 8.677 O
-3.670 0.985 7.463 O
0.343 3.448 1.276 O
-0.836 4.491 3.142 O
-4.849 8.806 9.330 O
-5.990 4.806 11.262 O
-1.977 8.490 5.075 O
-2.933 5.404 6.571 O
1.080 7.892 0.384 O
-4.253 5.242 8.619 O
-0.240 8.054 2.432 O
-5.508 1.670 11.727 O
-1.495 2.762 5.540 O
1.269 6.230 2.152 O
-2.744 7.067 8.339 O
0.124 5.657 5.515 O
-3.889 7.640 11.702 O
-1.869 4.788 8.697 O
2.144 8.508 2.510 O
0.562 1.561 5.043 O
-3.451 2.871 11.230 O
-0.623 1.144 7.151 O
3.390 3.288 0.963 O
-2.739 5.576 11.411 O
1.274 7.720 5.224 O
4.102 5.994 1.145 O
0.089 7.303 7.332 O
-1.493 0.356 9.864 O
2.520 4.076 3.677 O
4.540 1.224 0.672 O
0.527 3.208 6.860 O
3.395 1.798 4.036 O
-0.618 2.634 10.223 O
2.146 6.102 6.834 O
6.159 7.194 0.647 O
0.891 0.810 9.942 O
4.904 3.622 3.755 O
-0.429 0.972 11.990 O
3.584 3.460 5.803 O
2.628 0.374 7.299 O
6.641 4.058 1.112 O
5.500 0.059 3.045 O
1.487 4.374 9.232 O
0.308 5.417 11.099 O
4.321 7.880 4.911 O
6.011 6.597 3.697 O
1.997 6.700 9.884 O

GGA-PBE Tl3AsF6, relaxed; space group = P-1; total magnetization = 0.000 μB per atom; energy with MP2020 corrections = -44.0 eV per cell; energy = -4.13 eV/atom; energy above the most stable polymorph in this dataset = 11 meV/atom
1.0
7.103 0.000 0.000
-1.199 7.037 0.000
-2.437 -1.554 6.641
Tl As F
3 1 6
Cartesian
0.000 0.000 0.000 Tl
-1.818 2.742 3.320 Tl
2.333 -0.777 3.320 Tl
-1.218 -0.777 3.320 As
-1.508 5.084 1.853 F
0.112 0.770 2.768 F
-1.094 5.393 4.665 F
4.562 0.091 1.976 F
3.355 4.713 3.873 F
4.975 0.399 4.788 F

These records have DFT formation energy values of -1.8560, -2.0813 eV per atom, in the order they appear.